i.
Cs3HoO3 | r²SCAN | relaxed

Properties
SG: C2/m, No. 12
Crystal system: monoclinic
Total magnetization: 0.0000 μB/atom

```
Cs3HoO3
1.0
3.956 -6.357 0.000
3.956 6.357 0.000
-1.488 0.000 7.471
Cs Ho O
6 2 6
Cartesian
3.956 3.683 0.000 Cs
3.212 3.012 3.735 Cs
2.599 0.000 1.103 Cs
3.825 0.000 6.368 Cs
3.212 -3.012 3.735 Cs
3.956 -3.683 0.000 Cs
0.384 0.000 4.868 Ho
6.040 0.000 2.603 Ho
0.287 0.000 2.696 O
1.216 1.724 5.734 O
1.216 -1.724 5.734 O
5.208 1.724 1.737 O
5.208 -1.724 1.737 O
6.137 0.000 4.774 O
```

---

ii.
Cs3HoO3 | r²SCAN | relaxed

Properties
SG: P2_1/c, No. 14
Crystal system: monoclinic
Total magnetization: 0.0000 μB/atom

```
Cs3HoO3
1.0
8.212 0.000 0.000
0.000 7.534 0.000
-1.095 0.000 12.045
Cs Ho O
12 4 12
Cartesian
0.323 0.914 1.878 Cs
-0.225 2.853 7.900 Cs
1.874 1.209 11.115 Cs
2.422 2.558 5.093 Cs
2.223 5.143 9.750 Cs
2.771 6.158 3.728 Cs
4.346 1.376 8.317 Cs
4.893 2.391 2.295 Cs
4.695 4.976 6.952 Cs
5.242 6.325 0.929 Cs
7.341 4.681 4.145 Cs
6.793 6.620 10.167 Cs
1.210 4.421 0.825 Ho
0.663 6.880 6.847 Ho
6.454 0.654 5.198 Ho
5.906 3.113 11.220 Ho
0.404 0.407 4.967 O
-0.144 3.360 10.989 O
1.431 4.934 6.590 O
1.978 6.367 0.568 O
1.680 0.411 8.331 O
2.228 3.356 2.309 O
4.888 4.178 9.736 O
5.436 7.123 3.714 O
5.138 1.167 11.477 O
5.686 2.600 5.454 O
7.260 4.174 1.056 O
6.713 7.127 7.078 O
```

---

Which of them is the most stable, and which is the least stable? ii and i, in that order.

---

i.
Si | r²SCAN | relaxed

Properties
SG: Cmcm, No. 63
Crystal system: orthorhombic
Total magnetization: 0.0000 μB/atom

```
Si
1.0
1.914 -5.353 0.000
1.914 5.353 0.000
0.000 0.000 12.673
Si
12
Cartesian
1.914 5.045 7.485 Si
1.914 5.045 11.524 Si
1.914 2.754 7.032 Si
1.914 2.754 11.977 Si
1.914 0.763 8.329 Si
1.914 0.763 10.680 Si
1.914 -0.763 1.993 Si
1.914 -0.763 4.343 Si
1.914 -2.754 0.696 Si
1.914 -2.754 5.641 Si
1.914 -5.045 1.149 Si
1.914 -5.045 5.188 Si
```

---

ii.
Si | r²SCAN | relaxed

Properties
SG: Pm-3n, No. 223
Crystal system: cubic
Total magnetization: 0.0000 μB/atom

```
Si
1.0
10.180 0.000 0.000
0.000 10.180 0.000
0.000 0.000 10.180
Si
46
Cartesian
0.000 1.192 3.135 Si
0.000 1.192 7.045 Si
0.000 2.545 5.090 Si
0.000 7.635 5.090 Si
0.000 8.988 3.135 Si
0.000 8.988 7.045 Si
1.192 3.135 0.000 Si
1.192 7.045 0.000 Si
1.870 1.870 1.870 Si
1.870 1.870 8.311 Si
1.870 8.311 1.870 Si
1.870 8.311 8.311 Si
1.955 3.898 5.090 Si
1.955 6.283 5.090 Si
2.545 5.090 0.000 Si
3.135 0.000 1.192 Si
3.135 0.000 8.988 Si
3.220 3.220 3.220 Si
3.220 3.220 6.960 Si
3.220 6.960 3.220 Si
3.220 6.960 6.960 Si
3.898 5.090 1.955 Si
3.898 5.090 8.225 Si
5.090 0.000 2.545 Si
5.090 0.000 7.635 Si
5.090 1.955 3.898 Si
5.090 1.955 6.283 Si
5.090 8.225 3.898 Si
5.090 8.225 6.283 Si
6.283 5.090 1.955 Si
6.283 5.090 8.225 Si
6.960 3.220 3.220 Si
6.960 3.220 6.960 Si
6.960 6.960 3.220 Si
6.960 6.960 6.960 Si
7.045 0.000 1.192 Si
7.045 0.000 8.988 Si
7.635 5.090 0.000 Si
8.225 3.898 5.090 Si
8.225 6.283 5.090 Si
8.311 1.870 1.870 Si
8.311 1.870 8.311 Si
8.311 8.311 1.870 Si
8.311 8.311 8.311 Si
8.988 3.135 0.000 Si
8.988 7.045 0.000 Si
```

---

iii.
Si | r²SCAN | relaxed

Properties
SG: C2/m, No. 12
Crystal system: monoclinic
Total magnetization: 0.0000 μB/atom

```
Si
1.0
6.914 -1.923 0.000
6.914 1.923 0.000
-0.747 0.000 6.289
Si
8
Cartesian
0.489 0.000 2.352 Si
2.526 0.000 3.505 Si
3.091 0.000 5.751 Si
5.466 0.000 5.324 Si
7.616 0.000 0.965 Si
9.991 0.000 0.538 Si
10.556 0.000 2.784 Si
12.593 0.000 3.937 Si
```

---

iv.
Si | r²SCAN | relaxed

Properties
SG: Fd-3m, No. 227
Crystal system: cubic
Total magnetization: 0.0000 μB/atom

```
Si
1.0
0.000 7.339 7.339
7.339 0.000 7.339
7.339 7.339 0.000
Si
34
Cartesian
1.835 1.835 1.835 Si
4.641 4.641 1.882 Si
6.367 6.367 1.882 Si
4.641 1.882 4.641 Si
9.126 6.367 4.641 Si
6.367 1.882 6.367 Si
9.126 4.641 6.367 Si
11.217 7.129 7.129 Si
3.460 3.460 3.460 Si
7.548 7.548 3.460 Si
7.548 3.460 7.548 Si
10.036 8.310 5.551 Si
10.036 5.551 8.310 Si
12.795 8.310 8.310 Si
8.310 10.036 5.551 Si
8.310 5.551 10.036 Si
12.795 10.036 10.036 Si
1.882 4.641 4.641 Si
6.367 9.126 4.641 Si
6.367 4.641 9.126 Si
1.882 6.367 6.367 Si
4.641 9.126 6.367 Si
4.641 6.367 9.126 Si
7.129 11.217 7.129 Si
7.129 7.129 11.217 Si
11.217 11.217 11.217 Si
3.460 7.548 7.548 Si
5.551 10.036 8.310 Si
8.310 12.795 8.310 Si
5.551 8.310 10.036 Si
10.036 12.795 10.036 Si
8.310 8.310 12.795 Si
10.036 10.036 12.795 Si
12.842 12.842 12.842 Si
```

---

Which of them is the most stable, and which is the least stable? iii and iv, in that order.

---

i.
Si | r²SCAN | relaxed

Properties
SG: P6/mmm, No. 191
Crystal system: hexagonal
Total magnetization: 0.0000 μB/atom

```
Si
1.0
10.171 0.000 0.000
-5.086 8.808 0.000
0.000 0.000 10.346
Si
40
Cartesian
-1.231 2.133 0.000 Si
-1.934 3.350 1.932 Si
-1.934 3.350 8.414 Si
-3.152 5.459 1.932 Si
-3.152 5.459 8.414 Si
-3.854 6.676 0.000 Si
0.000 2.330 5.173 Si
-3.068 7.643 5.173 Si
0.000 3.689 3.232 Si
0.000 3.689 7.115 Si
-1.891 6.964 3.232 Si
-1.891 6.964 7.115 Si
2.463 0.000 0.000 Si
1.231 2.133 0.000 Si
2.018 1.165 5.173 Si
0.000 5.872 4.012 Si
0.000 5.872 6.334 Si
3.868 0.000 1.932 Si
3.868 0.000 8.414 Si
1.934 3.350 1.932 Si
1.934 3.350 8.414 Si
3.195 1.844 3.232 Si
3.195 1.844 7.115 Si
1.891 6.964 3.232 Si
1.891 6.964 7.115 Si
6.303 0.000 1.932 Si
6.303 0.000 8.414 Si
3.152 5.459 1.932 Si
3.152 5.459 8.414 Si
5.086 2.936 4.012 Si
5.086 2.936 6.334 Si
3.068 7.643 5.173 Si
7.708 0.000 0.000 Si
3.854 6.676 0.000 Si
6.977 1.844 3.232 Si
6.977 1.844 7.115 Si
5.086 5.120 3.232 Si
5.086 5.120 7.115 Si
8.153 1.165 5.173 Si
5.086 6.478 5.173 Si
```

---

ii.
Si | r²SCAN | relaxed

Properties
SG: Cmcm, No. 63
Crystal system: orthorhombic
Total magnetization: 0.0000 μB/atom

```
Si
1.0
8.368 -6.405 0.000
8.368 6.405 0.000
0.000 0.000 9.981
Si
46
Cartesian
2.946 1.595 6.255 Si
2.946 1.595 8.716 Si
8.368 5.395 6.300 Si
8.368 5.395 8.671 Si
1.689 0.000 0.000 Si
1.689 0.000 4.990 Si
6.374 2.724 0.590 Si
6.374 2.724 4.400 Si
5.149 1.046 5.581 Si
5.149 1.046 9.390 Si
8.368 3.180 5.595 Si
8.368 3.180 9.376 Si
2.946 -1.595 1.265 Si
2.946 -1.595 3.726 Si
7.183 1.643 2.495 Si
6.429 0.570 7.486 Si
8.368 1.844 7.486 Si
5.149 -1.046 0.591 Si
5.149 -1.046 4.400 Si
10.361 2.724 0.590 Si
10.361 2.724 4.400 Si
6.429 -0.570 2.495 Si
9.553 1.643 2.495 Si
7.183 -1.643 7.486 Si
10.307 0.570 7.486 Si
6.374 -2.724 5.581 Si
6.374 -2.724 9.391 Si
11.587 1.046 5.581 Si
11.587 1.046 9.390 Si
8.368 -1.844 2.495 Si
10.307 -0.570 2.495 Si
9.553 -1.643 7.486 Si
13.789 1.595 6.255 Si
13.789 1.595 8.716 Si
8.368 -3.180 0.605 Si
8.368 -3.180 4.386 Si
11.587 -1.046 0.591 Si
11.587 -1.046 4.400 Si
10.361 -2.724 5.581 Si
10.361 -2.724 9.391 Si
15.047 0.000 0.000 Si
15.047 0.000 4.990 Si
8.368 -5.395 1.310 Si
8.368 -5.395 3.681 Si
13.789 -1.595 1.265 Si
13.789 -1.595 3.726 Si
```

---

iii.
Si | r²SCAN | relaxed

Properties
SG: I4/mmm, No. 139
Crystal system: tetragonal
Total magnetization: 0.0000 μB/atom

```
Si
1.0
-3.325 3.325 1.922
3.325 -3.325 1.922
3.325 3.325 -1.922
Si
4
Cartesian
1.189 1.189 0.000 Si
2.136 -2.136 1.922 Si
-2.136 2.136 1.922 Si
2.136 2.136 1.922 Si
```

---

Which of them is the most stable, and which is the least stable? i and ii, in that order.

---

i.
P | r²SCAN | relaxed

Properties
SG: P2/m, No. 10
Crystal system: monoclinic
Total magnetization: 0.0000 μB/atom

```
P
1.0
2.425 0.000 0.000
0.000 2.439 0.000
-0.020 0.000 4.852
P
2
Cartesian
-0.005 0.000 1.210 P
-0.015 0.000 3.642 P
```

---

ii.
P | r²SCAN | relaxed

Properties
SG: Pm, No. 6
Crystal system: monoclinic
Total magnetization: 0.0000 μB/atom

```
P
1.0
5.635 0.000 0.000
0.000 19.632 0.000
-1.600 0.000 6.120
P
10
Cartesian
0.000 0.000 0.000 P
-0.019 1.139 3.265 P
-0.019 18.494 3.265 P
2.124 1.716 3.454 P
2.124 17.917 3.454 P
2.799 1.120 1.446 P
2.799 18.513 1.446 P
2.226 0.000 4.820 P
4.937 1.706 1.257 P
4.937 17.927 1.257 P
```

---

Which of them is the most stable, and which is the least stable? ii and i, in that order.